Record 1
A geometry-optimized GdGaGe2O7 structure. Source: Materials Project, functional PBE.

Cell: 7.317 6.636 12.965 Å, 90.00 117.62 90.00°
Positions (direct):
Gd 0.245 0.144 0.474
Gd 0.245 0.356 0.974
Gd 0.755 0.644 0.026
Gd 0.755 0.856 0.526
Ga 0.212 0.100 0.731
Ga 0.212 0.400 0.231
Ga 0.788 0.600 0.769
Ga 0.788 0.900 0.269
Ge 0.216 0.659 0.457
Ge 0.216 0.841 0.957
Ge 0.302 0.589 0.722
Ge 0.302 0.911 0.222
Ge 0.698 0.089 0.778
Ge 0.698 0.411 0.278
Ge 0.784 0.159 0.043
Ge 0.784 0.341 0.543
O 0.013 0.658 0.921
O 0.013 0.842 0.421
O 0.153 0.688 0.188
O 0.153 0.812 0.688
O 0.212 0.054 0.875
O 0.212 0.446 0.375
O 0.220 0.111 0.281
O 0.220 0.389 0.781
O 0.256 0.502 0.579
O 0.256 0.998 0.079
O 0.411 0.671 0.981
O 0.411 0.829 0.481
O 0.428 0.122 0.690
O 0.428 0.378 0.190
O 0.572 0.622 0.810
O 0.572 0.878 0.310
O 0.589 0.171 0.519
O 0.589 0.329 0.019
O 0.744 0.002 0.921
O 0.744 0.498 0.421
O 0.780 0.611 0.219
O 0.780 0.889 0.719
O 0.788 0.554 0.625
O 0.788 0.946 0.125
O 0.847 0.188 0.312
O 0.847 0.312 0.812
O 0.987 0.158 0.579
O 0.987 0.342 0.079

E_form: -2.59 eV per atom
E_tot: -338.580 eV/cell

---

Record 2
A geometry-optimized Ca2GePd2 structure. Source: Materials Project, functional PBE.

Cell: 8.240 5.785 9.253 Å, 61.44 38.07 80.49°
Positions (direct):
Ca 0.119 0.881 0.287
Ca 0.537 0.963 0.369
Ca 0.881 0.119 0.713
Ca 0.963 0.537 0.131
Ge 0.257 0.257 0.743
Ge 0.507 0.507 0.993
Pd 0.463 0.537 0.285
Pd 0.535 0.965 0.713
Pd 0.537 0.463 0.715
Pd 0.965 0.535 0.787

E_form: -0.79 eV per atom
E_tot: -45.909 eV/cell

---

Record 3
A geometry-optimized Y12InNi6 structure. Source: Materials Project, functional PBE.

Cell: 8.446 8.446 8.446 Å, 109.47 109.47 109.47°
Positions (direct):
Y 0.115 0.813 0.302
Y 0.187 0.302 0.490
Y 0.187 0.698 0.885
Y 0.302 0.115 0.813
Y 0.302 0.490 0.187
Y 0.490 0.187 0.302
Y 0.510 0.813 0.698
Y 0.698 0.510 0.813
Y 0.698 0.885 0.187
Y 0.813 0.302 0.115
Y 0.813 0.698 0.510
Y 0.885 0.187 0.698
In 0.000 0.000 0.000
Ni 0.123 0.623 0.500
Ni 0.377 0.500 0.877
Ni 0.500 0.123 0.623
Ni 0.500 0.877 0.377
Ni 0.623 0.500 0.123
Ni 0.877 0.377 0.500

E_form: -0.36 eV per atom
E_tot: -121.871 eV/cell

---

Record 4
A geometry-optimized NaY9Si6O26 structure. Source: Materials Project, functional PBE.

Cell: 9.454 9.454 6.834 Å, 90.00 90.00 120.00°
Positions (direct):
Na 0.000 0.000 0.000
Y 0.000 0.000 0.506
Y 0.333 0.667 0.005
Y 0.333 0.667 0.502
Y 0.428 0.099 0.754
Y 0.432 0.332 0.253
Y 0.668 0.100 0.253
Y 0.671 0.572 0.754
Y 0.900 0.568 0.253
Y 0.901 0.329 0.754
Si 0.040 0.305 0.253
Si 0.064 0.704 0.751
Si 0.265 0.960 0.253
Si 0.296 0.360 0.751
Si 0.640 0.936 0.751
Si 0.695 0.735 0.253
O 0.010 0.584 0.944
O 0.011 0.578 0.562
O 0.067 0.856 0.268
O 0.144 0.211 0.268
O 0.160 0.505 0.252
O 0.185 0.165 0.742
O 0.197 0.464 0.754
O 0.267 0.803 0.754
O 0.329 0.084 0.444
O 0.340 0.087 0.068
O 0.345 0.840 0.252
O 0.416 0.426 0.944
O 0.422 0.432 0.562
O 0.495 0.655 0.252
O 0.536 0.733 0.754
O 0.568 0.989 0.562
O 0.574 0.990 0.944
O 0.667 0.333 0.258
O 0.667 0.333 0.754
O 0.747 0.660 0.068
O 0.755 0.671 0.444
O 0.789 0.933 0.268
O 0.835 0.020 0.742
O 0.913 0.253 0.068
O 0.916 0.245 0.444
O 0.980 0.815 0.742

E_form: -3.67 eV per atom
E_tot: -356.947 eV/cell

---

Record 5
A geometry-optimized YPRu2C structure. Source: Materials Project, functional PBE.

Cell: 5.853 5.853 7.070 Å, 90.00 90.00 142.15°
Positions (direct):
Y 0.044 0.956 0.750
Y 0.956 0.044 0.250
P 0.232 0.768 0.250
P 0.768 0.232 0.750
Ru 0.335 0.665 0.553
Ru 0.335 0.665 0.947
Ru 0.665 0.335 0.053
Ru 0.665 0.335 0.447
C 0.500 0.500 0.000
C 0.500 0.500 0.500

E_form: -0.67 eV per atom
E_tot: -86.061 eV/cell

---

Record 6
A geometry-optimized Cu2Si3H24C8N20F18 structure. Source: Materials Project, functional PBE.

Cell: 7.635 8.533 12.233 Å, 87.15 88.09 67.12°
Positions (direct):
Cu 0.230 0.165 0.357
Cu 0.770 0.835 0.643
Si 0.000 0.000 0.000
Si 0.311 0.449 0.683
Si 0.689 0.551 0.317
H 0.067 0.464 0.198
H 0.090 0.661 0.491
H 0.115 0.637 0.013
H 0.141 0.925 0.727
H 0.173 0.833 0.207
H 0.289 0.670 0.305
H 0.295 0.510 0.922
H 0.317 0.061 0.887
H 0.426 0.744 0.605
H 0.440 0.092 0.770
H 0.463 0.783 0.002
H 0.466 0.830 0.482
H 0.534 0.170 0.518
H 0.537 0.217 0.998
H 0.560 0.908 0.230
H 0.574 0.256 0.395
H 0.683 0.939 0.113
H 0.705 0.490 0.078
H 0.711 0.330 0.695
H 0.827 0.167 0.793
H 0.859 0.075 0.273
H 0.885 0.363 0.987
H 0.910 0.339 0.509
H 0.933 0.536 0.802
C 0.030 0.842 0.353
C 0.238 0.984 0.569
C 0.279 0.396 0.069
C 0.437 0.141 0.149
C 0.563 0.859 0.851
C 0.721 0.604 0.931
C 0.762 0.016 0.431
C 0.970 0.158 0.647
N 0.010 0.779 0.453
N 0.124 0.009 0.661
N 0.158 0.114 0.497
N 0.171 0.775 0.282
N 0.195 0.381 0.164
N 0.229 0.526 0.998
N 0.292 0.222 0.216
N 0.407 0.854 0.559
N 0.433 0.246 0.059
N 0.435 0.018 0.838
N 0.565 0.982 0.162
N 0.567 0.754 0.941
N 0.593 0.146 0.441
N 0.708 0.778 0.784
N 0.771 0.474 0.002
N 0.805 0.619 0.836
N 0.829 0.225 0.718
N 0.842 0.886 0.503
N 0.876 0.991 0.339
N 0.990 0.221 0.547
F 0.075 0.162 0.960
F 0.086 0.903 0.880
F 0.126 0.405 0.743
F 0.196 0.659 0.708
F 0.205 0.481 0.557
F 0.218 0.888 0.061
F 0.422 0.409 0.808
F 0.425 0.234 0.655
F 0.498 0.514 0.373
F 0.502 0.486 0.627
F 0.575 0.766 0.345
F 0.578 0.591 0.192
F 0.782 0.112 0.939
F 0.795 0.519 0.443
F 0.804 0.341 0.292
F 0.874 0.595 0.257
F 0.914 0.097 0.120
F 0.925 0.838 0.040

E_form: -1.12 eV per atom
E_tot: -456.846 eV/cell

---

Record 7
A geometry-optimized Te3Pt2 structure. Source: Materials Project, functional PBE.

Cell: 17.691 17.691 17.691 Å, 13.18 13.18 13.18°
Positions (direct):
Te 0.037 0.037 0.037
Te 0.143 0.143 0.143
Te 0.243 0.243 0.243
Te 0.757 0.757 0.757
Te 0.857 0.857 0.857
Te 0.963 0.963 0.963
Pt 0.347 0.347 0.347
Pt 0.450 0.450 0.450
Pt 0.550 0.550 0.550
Pt 0.653 0.653 0.653

E_form: -0.38 eV per atom
E_tot: -46.913 eV/cell